No. 1
The following is a DFT calculation (PBE-GGA) of a relaxed structure of NaTaAlP3O12.

The structure in extended XYZ format:
```
108
Lattice="-0.9563 7.4246 4.1314 -4.6695 -1.6459 -6.9710 -15.7811 -9.1120 12.7225" Properties=species:S:1:pos:R:3 pbc="T T T"
Na -7.8002 -4.5038 6.2884
Na -15.6908 -9.0598 12.6496
Na -15.2547 -3.1400 10.9598
Na -7.3641 1.4160 4.5986
Na -5.9717 -0.0889 -1.2226
Na -13.8622 -4.6449 5.1386
Ta -10.1633 -5.8683 8.1935
Ta -2.2727 -1.3123 1.8322
Ta -17.6177 -4.5045 12.8649
Ta -9.7272 0.0515 6.5036
Ta -8.3347 -1.4533 0.6825
Ta -16.2253 -6.0093 7.0437
Al -5.5792 -3.2214 4.4978
Al -13.4697 -7.7774 10.8591
Al -13.0336 -1.8576 9.1693
Al -5.1431 2.6984 2.8080
Al -3.7506 1.1935 -3.0132
Al -11.6412 -3.3625 3.3481
P -4.3173 -0.1481 4.3223
P -7.9712 1.8908 1.2503
P -6.2243 4.5719 5.3374
P -13.4504 -5.1420 8.8286
P -16.1162 -0.6895 8.7108
P -12.6178 -1.5218 12.4543
P -11.7718 1.2158 8.9937
P -9.7998 -2.5241 8.7613
P -12.7224 -1.4889 5.8775
P -5.1238 5.3338 0.7775
P -2.1637 4.0075 3.4994
P -3.3348 1.5294 0.2719
P -18.2699 -4.8451 9.5338
P -16.2979 -8.5850 9.3013
P -19.2205 -7.5497 6.4175
P -11.6219 -0.7271 1.3176
P -8.6618 -2.0533 4.0394
P -9.8329 -4.5315 0.8119
O -5.1998 -1.3649 4.5014
O -9.3776 2.0713 1.7802
O -6.5514 4.0978 6.7373
O -13.7102 -6.1393 9.9373
O -17.3951 -1.4991 8.6899
O -13.6952 -1.2253 13.4754
O -16.2706 -1.9859 5.3568
O -12.0557 -5.3726 8.1594
O -14.8470 -7.4923 3.1789
O -7.6968 2.8110 0.0156
O -4.0252 -1.9031 1.1936
O -7.7797 -2.0907 -3.5979
O -12.6542 -0.0011 9.1728
O -11.2062 -2.3436 9.2912
O -13.0495 -1.9630 7.2773
O -5.3835 4.3365 1.8863
O -3.4425 3.1979 3.4784
O -4.4121 1.8259 1.2930
O -2.3181 2.7112 0.1453
O -3.7290 5.1032 0.1084
O -1.8508 4.6294 2.0988
O -9.5253 -1.6040 7.5267
O -11.4796 -0.5393 5.8650
O -10.5646 0.9190 8.0445
O -19.1523 -6.0619 9.7129
O -17.7043 -8.4045 9.8313
O -19.5476 -8.0239 7.8174
O -11.8816 -1.7244 2.4263
O -9.9407 -2.8629 4.0185
O -10.9103 -4.2350 1.8331
O -8.8162 -3.3497 0.6854
O -10.2271 -0.9577 0.6484
O -8.3489 -1.4315 2.6388
O -16.0234 -7.6648 8.0667
O -17.9777 -6.6002 6.4051
O -17.0628 -5.1418 8.5845
O -10.4095 -4.8911 -0.5431
O -11.7599 0.7065 1.7908
O -7.4810 -2.8580 4.5455
O -15.2482 -8.3714 10.3740
O -19.0255 -8.7019 5.4519
O -19.0484 -3.6373 9.0509
O -11.0456 1.5794 10.3434
O -9.6182 -3.9624 8.1449
O -13.8599 -0.5471 5.3295
O -6.1092 5.0942 -0.4279
O -2.3327 5.2907 4.3973
O -2.4102 0.3531 0.7647
O -13.1944 -1.8814 11.0992
O -13.5885 -3.7085 9.3018
O -14.9354 -1.4942 9.2169
O -6.9216 2.1044 2.3229
O -6.0292 3.4198 4.3718
O -5.0958 1.0597 3.8394
O -17.5437 -4.4814 10.8835
O -17.0727 -2.5985 12.8163
O -15.6885 -4.9620 12.8405
O -7.9377 0.6792 7.0831
O -8.8308 -0.7701 4.9373
O -9.8647 1.7169 5.4361
O -3.9114 1.1698 -1.0832
O -4.3055 -0.6573 -2.8806
O -5.6524 1.5569 -2.9655
O -13.4197 -3.9564 2.8630
O -12.5274 -2.6411 4.9119
O -11.5939 -5.0011 4.3795
O -8.2607 -1.4303 -1.2989
O -7.7897 0.4526 0.6338
O -6.4055 -1.9109 0.6581
O -14.4358 -5.3816 7.6232
O -15.3289 -6.8309 5.4774
O -16.3628 -4.3440 5.9761
```

Calculated values
E_tot = -7.6720 eV per atom
ΔH_f (0 K) = -2.989 eV per atom

***

No. 2
The following is a DFT calculation (PBE-GGA) of a relaxed structure of La3MgTi4O12.

The structure in extended XYZ format:
```
20
Lattice="7.9319 0.0000 0.0000 0.0000 3.9065 3.8943 0.0000 -3.9065 3.8943" Properties=species:S:1:pos:R:3 pbc="T T T"
La 0.0000 0.0000 0.0000
La 0.0000 0.0000 3.8341
La 3.9660 0.0000 7.5361
Mg 3.9660 0.0000 3.5882
Ti 2.0355 -1.9463 5.6780
Ti 2.0355 1.9463 5.6780
Ti 5.8964 -1.9463 5.6780
Ti 5.8964 1.9463 5.6780
O 0.0000 -1.5969 5.6622
O 0.0000 1.5969 5.6622
O 1.5840 0.0000 2.0622
O 1.9675 -2.3634 3.7256
O 1.9675 2.3634 3.7256
O 2.4777 0.0000 5.1774
O 3.9660 -1.4839 2.0280
O 3.9660 1.4839 2.0280
O 5.4542 0.0000 5.1774
O 5.9645 -2.3634 3.7256
O 5.9645 2.3634 3.7256
O 6.3480 0.0000 2.0622
```

Calculated values
E_tot = -8.4964 eV per atom
SG = Amm2
ΔH_f (0 K) = -3.540 eV per atom